# CuN

CuN after structural relaxation (PBE, the Materials Project database).

It has space group Fm-3m (No. 225), with a = 4.166 Å, b = 4.166 Å, c = 4.166 Å, α = 90.00°, β = 90.00° and γ = 90.00°. Symmetry generates all atoms from Cu at (0.000, 0.000, 0.000) and N at (0.000, 0.000, 0.500).

The final energy is -5.1954 eV per atom. As for the excess energy over the best structure of this formula in the dataset: 636 meV per atom. The value obtained for the energy relative to the elements is 0.842 eV per atom. The value obtained for the energy with MP2020 corrections is -5.376 eV per atom.

---

# CuNi3N

CuNi3N after structural relaxation (PBE, the Materials Project database).

It has space group Pm-3m (No. 221), with a = 3.730 Å, b = 3.730 Å, c = 3.730 Å, α = 90.00°, β = 90.00° and γ = 90.00°. Symmetry generates all atoms from Cu at (0.000, 0.000, 0.000), Ni at (0.000, 0.500, 0.500) and N at (0.500, 0.500, 0.500).

The final energy is -5.9652 eV per atom. The value obtained for the energy relative to the elements is -0.082 eV per atom. The value obtained for the energy with MP2020 corrections is -6.037 eV per atom.